No. 1
CsNbCl6 | r²SCAN | optimized geometry Values from VASP.

Properties
Space group: C2/c
Uncorrected energy (eV per cell): -200.068

Cell and atoms, written as Quantum ESPRESSO input:
```
&SYSTEM
  ibrav = 0, nat = 16, ntyp = 3
/
ATOMIC_SPECIES
Cs 132.91 Cs.upf
Nb 92.91 Nb.upf
Cl 35.45 Cl.upf
CELL_PARAMETERS angstrom
3.2280 6.1454 0.0075
-3.2280 6.1454 0.0075
0.0000 2.6002 12.1705
ATOMIC_POSITIONS angstrom
Cs 2.4850 8.0955 9.1354
Cs -2.4850 6.7954 3.0501
Nb 1.6140 4.3728 6.0890
Nb -1.6140 3.0727 0.0037
Cl -0.7532 8.7020 7.3718
Cl 0.7532 6.1889 4.8136
Cl -0.7532 7.4890 10.8989
Cl 0.7532 7.4019 1.2866
Cl 0.5438 5.2279 8.0365
Cl -0.5438 9.6630 4.1490
Cl 0.5438 10.9631 10.2342
Cl -0.5438 3.9278 1.9512
Cl -0.3236 10.5049 0.4951
Cl 0.3236 4.3860 11.6904
Cl -0.3236 3.0859 5.6051
Cl 0.3236 11.8050 6.5803
```

No. 2
ErHg2 | r²SCAN | optimized geometry Values from VASP.

Properties
Space group: P6/mmm
Uncorrected energy (eV per cell): -133.956

Cell and atoms, written as Quantum ESPRESSO input:
```
&SYSTEM
  ibrav = 0, nat = 3, ntyp = 2
/
ATOMIC_SPECIES
Er 167.26 Er.upf
Hg 200.59 Hg.upf
CELL_PARAMETERS angstrom
-3.1660 3.3990 1.4498
-1.1804 -3.0434 -3.6088
-1.3090 -2.1894 2.2745
ATOMIC_POSITIONS angstrom
Er 0.0000 0.0000 0.0000
Hg -2.4967 -1.9906 -0.7853
Hg -3.1586 0.1568 0.9009
```

No. 3
NaCd2Pt | r²SCAN | optimized geometry Values from VASP.

Properties
Space group: Fm-3m
Uncorrected energy (eV per cell): -96.481

Cell and atoms, written as Quantum ESPRESSO input:
```
&SYSTEM
  ibrav = 0, nat = 4, ntyp = 3
/
ATOMIC_SPECIES
Na 22.99 Na.upf
Cd 112.41 Cd.upf
Pt 195.08 Pt.upf
CELL_PARAMETERS angstrom
-1.9310 3.0007 3.1104
-3.9031 2.4174 -1.1532
-4.1315 -1.0554 2.0554
ATOMIC_POSITIONS angstrom
Na -2.4914 1.0907 1.0032
Cd -4.9828 2.1814 2.0063
Cd 0.0000 0.0000 0.0000
Pt -7.4741 3.2720 3.0095
```

What is the uncorrected energy in the first record? -200.068 eV per cell

The highest uncorrected energy belongs to which entry? NaCd2Pt